P | 9
Lattice="-4.6636 -3.4214 -1.9760 -0.9348 -5.8201 1.6162 -4.0979 -0.5372 3.8950" Properties=species:S:1:pos:R:3 comment="K4CO4 PBE relaxed" magnetic_moment_mub_per_fu=0.000 pbc="T T T"
K -5.1225 -4.1171 3.6922
O -6.8755 -5.6475 2.5084
O -3.5262 -3.6775 0.3473
C -3.7051 -4.0381 -1.0525
K -3.6490 -6.2566 0.7339
K -6.5937 -8.1930 1.7019
O -5.0364 -4.5120 -1.2797
O -7.5351 -3.4171 2.0451
K -2.8324 -1.7596 2.0936

---

Q | 9
Lattice="-3.7444 3.7444 2.7418 3.7444 -3.7444 2.7418 3.7444 3.7444 -2.7418" Properties=species:S:1:pos:R:3 comment="K4CO4 PBE relaxed" magnetic_moment_mub_per_fu=0.000 pbc="T T T"
K 1.7139 -0.9207 3.7501
O 3.4506 1.1360 2.1898
O 2.6084 -0.2938 0.5519
K 2.8237 2.0305 -1.0083
K 2.0305 4.6651 1.0083
C 3.7444 0.0000 1.3709
K 0.9207 1.7139 1.7334
O 4.8804 0.2938 0.5519
O 4.0382 -1.1360 2.1898

---

R | 9
Lattice="-4.6805 7.4142 -7.1546 -2.0736 -2.8455 -1.9462 -1.9694 -3.2583 6.3195" Properties=species:S:1:pos:R:3 comment="K4CO4 PBE relaxed" magnetic_moment_mub_per_fu=2.000 pbc="T T T"
O -6.6287 3.5486 -1.3113
K -2.8785 -1.9337 0.4417
C -7.0680 3.3294 -2.3505
O -2.5674 -1.0841 2.8990
K -3.1911 1.0635 -3.1875
O -4.5576 3.3112 -4.6931
O -3.9011 -0.0081 -0.8719
K -6.1727 -1.4381 -0.6269
K -7.0199 2.6571 -5.2294

---

Unit: meV/atom. Relative energies: P 0; Q 6; R 674.

---

P | 16
Lattice="4.5839 0.0000 0.0000 0.0000 6.8056 0.0000 0.0000 0.0000 11.6648" Properties=species:S:1:pos:R:3 comment="LaMg6C PBE relaxed" magnetic_moment_mub_per_fu=0.000 pbc="T T T"
Mg 0.0000 0.0000 3.9033
Mg 2.2919 5.2530 4.9633
Mg 2.2919 1.5526 4.9633
Mg 0.0000 5.0398 0.9095
La 0.0000 3.4028 3.5321
Mg 0.0000 1.6370 6.7419
Mg 2.2919 1.8502 10.7957
La 0.0000 0.0000 9.3646
Mg 0.0000 5.1685 6.7419
Mg 2.2919 0.0000 1.9546
Mg 0.0000 3.4028 9.7357
Mg 2.2919 4.9554 10.7957
Mg 0.0000 1.7658 0.9095
C 2.2919 3.4028 2.1941
Mg 2.2919 3.4028 7.7870
C 2.2919 0.0000 8.0265

---

Q | LaMg6C after structural relaxation. Source: the Materials Project database, functional PBE.

```
8
Lattice="4.4937 3.1023 5.0549 -6.9389 1.1777 -2.4154 -1.6370 -2.9490 3.2651" Properties=species:S:1:pos:R:3 pbc="T T T"
Mg -2.1278 1.8130 3.9453
Mg -4.4768 1.5922 -0.8065
Mg -1.5385 0.9693 0.1041
Mg -2.7034 3.0082 1.3616
C -3.0924 0.4885 2.2654
Mg 0.3661 2.4074 2.3579
Mg -0.9164 -0.3073 2.6376
La 1.4343 1.2505 5.2232
```

---

Unit: meV/atom. Relative energies: P 104; Q 0.

---

P | 16
Lattice="2.7244 2.2665 2.0609 -3.6631 1.6031 -0.9046 -5.8345 -5.5411 13.8069" Properties=species:S:1:pos:R:3 comment="La2CO5 PBE relaxed" magnetic_moment_mub_per_fu=0.000 pbc="T T T"
O -2.8459 1.9742 5.5413
O -2.6478 -1.0471 8.7608
C -1.3381 -0.9709 3.6690
La 0.0421 1.5160 2.3782
O -5.6519 -0.7847 12.4964
O -1.8683 1.5014 0.8649
La -5.0013 -1.4754 8.2946
O -4.8143 0.0107 10.5144
O -4.9014 -3.1874 14.0939
O -1.0230 0.1373 4.2469
La -6.8132 -3.1962 12.5823
O -2.0084 2.7697 3.5593
O -5.5107 -2.7964 10.4212
O -4.1220 -0.6389 6.1980
C -4.6866 -3.7862 10.3722
La -1.7698 -0.2048 6.6660

---

Q | 96
Lattice="3.5528 -6.1504 0.0000 3.5528 6.1504 0.0000 0.0000 0.0000 32.0456" Properties=species:S:1:pos:R:3 comment="La2CO5 PBE relaxed" magnetic_moment_mub_per_fu=0.000 pbc="T T T"
La 5.8531 -2.0001 2.5078
La 4.6649 -4.0831 10.5048
La 4.7096 -4.0896 26.5296
O 4.7146 4.0875 19.0880
La 5.8659 2.0480 2.4484
O 5.8916 2.0829 11.1903
O 2.3131 -0.0141 27.0990
O 4.3018 4.7022 8.0114
O 6.9468 0.2396 9.1502
O 2.6440 -3.4505 16.0704
C 3.6966 1.7128 24.0342
O 2.3131 0.0141 11.0762
O 3.6720 -1.7700 30.9490
O 4.6741 4.1201 12.9581
O 1.8549 -2.0750 24.0342
O 6.8115 -0.0137 30.9072
O 3.6720 1.7700 1.0966
O 3.6048 -1.8599 1.1782
O 4.3556 0.6016 24.0342
La 4.6649 4.0831 26.5277
O 4.7146 -4.0875 3.0652
O 1.6227 0.0000 0.0000
O 2.6440 -3.4505 31.9980
O 5.8811 2.0415 20.9765
O 3.6720 1.7700 14.9262
C 3.3139 -2.3478 0.0065
C 3.3139 2.3478 32.0391
La 4.7149 -0.0508 26.4995
O 1.6227 0.0000 16.0228
O 3.7714 -2.0619 25.1729
O 3.6720 -1.7700 17.1194
O 1.8549 2.0750 8.0114
O 3.7714 -2.0619 22.8955
O 4.7146 -4.0875 12.9576
O 3.6048 1.8599 30.8675
La 4.6649 4.0831 21.5408
O 2.3131 -0.0141 20.9695
C 3.3139 2.3478 16.0293
O 4.3018 -4.7022 24.0342
La 2.3529 0.0137 13.5236
O 5.8811 2.0415 27.0919
La 2.3529 0.0137 2.4992
O 6.8115 0.0137 1.1384
O 5.8916 -2.0829 27.2131
O 2.6440 3.4505 15.9752
C 3.1448 -2.0676 24.0342
La 5.8659 2.0480 13.5744
La 4.6649 -4.0831 5.5180
O 4.6741 -4.1201 19.0875
La 5.8531 -2.0001 13.5150
O 3.6048 -1.8599 14.8447
O 4.7146 4.0875 28.9805
O 6.9468 -0.2396 22.8954
La 4.7096 4.0896 10.5068
O 4.6879 0.0084 12.8498
O 3.7714 2.0619 6.8727
O 5.8916 -2.0829 20.8554
O 6.9468 -0.2396 25.1730
O 5.8811 -2.0415 11.0691
La 2.3529 -0.0137 29.5464
O 3.3779 2.2478 25.1734
C 3.6906 -5.8383 24.0342
O 4.6879 -0.0084 19.1958
O 6.8115 0.0137 14.8844
C 3.3139 -2.3478 16.0163
O 3.3779 -2.2478 6.8722
O 3.3779 -2.2478 9.1506
La 4.7149 0.0508 10.4766
La 4.7149 0.0508 5.5462
C 3.6906 5.8383 8.0114
O 4.6879 -0.0084 28.8726
La 5.8659 -2.0480 29.5972
O 3.7714 2.0619 9.1501
O 6.8115 -0.0137 17.1612
O 4.6879 0.0084 3.1730
O 2.3131 0.0141 4.9467
C 0.3329 0.0000 16.0228
O 3.6048 1.8599 17.2010
La 5.8531 2.0001 29.5378
C 3.6966 -1.7128 8.0114
La 4.7096 -4.0896 21.5388
O 3.3779 2.2478 22.8950
O 5.8916 2.0829 4.8325
C 3.1448 2.0676 8.0114
O 5.8811 -2.0415 4.9537
O 2.6440 3.4505 0.0476
La 4.7149 -0.0508 21.5690
C 0.3329 0.0000 0.0000
La 5.8659 -2.0480 18.4713
O 4.6741 -4.1201 28.9809
La 5.8531 2.0001 18.5306
La 4.7096 4.0896 5.5160
O 6.9468 0.2396 6.8726
O 4.3556 -0.6016 8.0114
La 2.3529 -0.0137 18.5220
O 4.6741 4.1201 3.0647

---

Unit: meV/atom. Relative energies: P 19; Q 0.

---

P | 108
Lattice="6.3957 -11.0778 0.0000 6.3957 11.0778 0.0000 0.0000 0.0000 10.0792" Properties=species:S:1:pos:R:3 comment="LaCO4 PBE relaxed" magnetic_moment_mub_per_fu=1.001 pbc="T T T"
La 10.6258 -1.2998 2.4557
O 3.9844 -2.7468 3.9059
O 4.3148 -1.7136 1.1297
La 8.5579 2.3617 2.4627
La 4.2199 -4.9974 7.4602
O 7.6391 2.0546 0.0000
C 7.3614 8.8932 5.0396
C 4.9459 -1.7088 0.0000
O 5.9328 1.1432 1.1330
O 10.7156 1.6045 1.1281
C 8.2974 4.9015 0.0000
O 7.9601 2.5859 5.0396
O 4.3620 7.3666 7.0100
O 6.3957 -3.6926 7.6842
C 1.4090 1.9286 5.0396
O 6.3957 3.6926 7.4623
O 2.2426 -3.6603 1.9515
La 6.3537 -1.1559 7.4602
La 6.3529 -8.5523 2.4557
O 6.9573 0.9394 3.9085
La 8.5579 2.3617 7.6165
La 4.2199 -4.9974 2.6190
O 0.0000 0.0000 7.5041
La 6.4672 6.2305 2.4627
O 2.2426 -3.6603 8.1276
O 7.1926 5.5884 0.0000
O 4.7221 -4.8324 0.0000
C 4.0451 4.0376 5.0396
O 5.7224 -6.4843 8.9495
O 1.2580 -1.5196 0.0000
O 8.4992 5.5555 3.9085
O 10.5944 3.6168 7.0100
O 4.6551 2.8911 5.0396
O 5.7224 -6.4843 1.1297
O 4.2308 0.0943 7.0100
O 5.9328 1.1432 8.9462
O 6.0442 8.4778 8.9511
O 4.3555 3.4348 0.0000
O 9.1501 -2.8799 1.1297
O 2.0296 1.9174 3.9029
La 6.3537 -1.1559 2.6190
O 4.3148 -1.7136 8.9495
O 7.0415 8.3614 3.9029
O 10.1162 0.7989 3.9029
O 10.1162 0.7989 6.1762
C 5.4027 -5.9400 0.0000
O 2.4274 0.9955 1.1281
O 6.9573 0.9394 6.1707
La 10.6258 -1.2998 7.6235
O 8.5003 -0.1120 8.1276
O 6.5015 -9.0932 5.0396
O 2.0296 1.9174 6.1762
O 8.4205 -2.0772 6.1733
O 8.4205 -2.0772 3.9059
La 4.1621 2.4855 2.4627
O 6.7824 -6.2538 3.9059
O 3.7307 4.5828 3.9085
O 6.3957 -3.6926 2.3950
O 7.0415 8.3614 6.1762
La 8.6137 -4.9245 7.4602
O 4.2308 0.0943 3.0692
O 6.5720 5.6007 5.0396
O 3.9844 -2.7468 6.1733
O 4.4194 5.3682 1.1330
La 4.1621 2.4855 7.6165
C 1.8489 1.2775 0.0000
O 1.6658 -1.0838 5.0396
O 10.5944 3.6168 3.0692
O 4.4194 5.3682 8.9462
O 8.8351 4.5664 1.1330
O 11.0200 -0.9007 5.0396
C 4.3979 4.7350 0.0000
C 10.4168 0.2560 5.0396
O 8.4992 5.5555 6.1707
O 8.5003 -0.1120 1.9515
O 2.4274 0.9955 8.9511
C 8.8386 -3.4289 0.0000
C 6.5776 8.8378 0.0000
O 8.4443 -7.3055 8.1276
C 4.5389 -2.4482 5.0396
O 6.0442 8.4778 1.1281
O 8.8351 4.5664 8.9462
La 2.2085 -1.2256 2.4557
O 10.7156 1.6045 8.9511
C 6.4919 1.4412 0.0000
C 7.8699 5.5557 5.0396
O 5.1412 -5.2368 5.0396
O 5.6857 -1.8340 5.0396
O 9.1501 -2.8799 8.9495
La 6.4672 6.2305 7.6165
C 7.2722 1.4844 5.0396
O 10.8465 -0.3297 0.0000
O 8.3604 -4.0069 5.0396
O 8.4443 -7.3055 1.9515
O 0.0000 0.0000 2.5751
C 8.4018 -2.7067 5.0396
O 3.7307 4.5828 6.1707
C 10.7607 0.9625 0.0000
La 6.3529 -8.5523 7.6235
O 6.3957 3.6926 2.6169
La 2.2085 -1.2256 7.6235
O 4.3620 7.3666 3.0692
C 6.2465 -5.9228 5.0396
O 6.7824 -6.2538 6.1733
O 8.2196 -4.5721 0.0000
La 8.6137 -4.9245 2.6190
O 6.2455 -1.6733 0.0000
O 7.0827 -9.2285 0.0000

---

Q | 24
Lattice="-2.0441 3.6847 2.8410 -3.8503 -5.1933 3.9652 6.6923 -0.6458 5.6526" Properties=species:S:1:pos:R:3 comment="LaCO4 PBE relaxed" magnetic_moment_mub_per_fu=1.000 pbc="T T T"
O -0.0289 0.3420 1.6914
C -0.1819 -3.5546 8.9838
C 0.9598 -0.3416 1.1744
O 0.0894 -4.1690 7.8608
La -2.1860 -3.0287 6.7826
O -2.9459 -1.8444 4.8793
O 2.8045 0.0055 8.7117
C 2.7669 -1.0255 7.9068
O -3.7215 -1.4859 8.2171
C -1.9491 0.6128 6.8526
O -1.3480 2.3420 3.2345
O 1.6275 -1.5226 7.5679
O -0.0587 -2.6338 5.2224
O -1.2692 -0.4874 6.6536
O 4.0548 1.1200 6.1330
La -1.4201 -0.2297 3.9393
O 0.9468 1.7036 7.5007
La 0.0897 0.0243 9.0056
O 2.8130 -4.6991 8.1800
O 3.8805 -1.5561 7.5066
O 0.7819 0.5311 4.3575
O -0.3650 -2.4204 2.9995
La 5.1121 -1.0748 5.1900
O -0.8779 -2.4609 8.9540

---

Unit: meV/atom. Relative energies: P 0; Q 56.

---

P | 16
Lattice="-0.6568 -5.5362 -2.9000 3.2342 4.7923 -2.7829 8.2502 -3.1551 4.1549" Properties=species:S:1:pos:R:3 comment="LiMg14C PBE relaxed" magnetic_moment_mub_per_fu=0.000 pbc="T T T"
Mg 7.7448 1.0901 -0.2177
C 3.5385 2.9330 -1.9325
Mg 6.1324 -1.3216 1.1525
Mg 1.7987 -2.7257 -2.7748
Mg 2.9925 -2.1158 0.0941
Mg 3.1191 -4.9953 -1.2789
Li 2.0147 0.2318 -0.9579
Mg 3.3408 -0.4406 -4.1018
Mg 7.3950 -1.6512 -1.6048
Mg 9.5368 -1.3921 1.0291
Mg 4.6751 -2.5701 -2.6913
Mg 7.8061 -3.9566 2.5183
Mg 5.7961 -4.0204 -0.2290
Mg 7.1664 -6.5431 0.7594
Mg 4.7232 0.4487 -1.3950
Mg 8.8407 -4.1632 -0.5934

---

Q | 16
Lattice="6.2679 0.0000 0.0000 -3.1339 5.4281 0.0000 0.0000 0.0000 9.8943" Properties=species:S:1:pos:R:3 comment="LiMg14C PBE relaxed" magnetic_moment_mub_per_fu=0.000 pbc="T T T"
Mg -1.5983 4.5053 6.1840
Mg -1.5360 4.5413 1.2368
Mg 4.7703 0.9448 8.5217
C 0.0000 1.8094 6.1840
Mg 1.4976 0.9448 8.5217
Mg 1.5983 4.5053 6.1840
Mg 1.5360 4.5413 1.2368
Mg 0.0000 3.5386 3.8462
Mg 4.7703 0.9448 3.8462
Mg 3.1339 1.8456 6.1840
Mg 3.1339 1.7736 1.2368
Li 0.0000 1.8094 1.2368
Mg 1.4976 0.9448 3.8462
Mg 3.1339 3.6188 3.6657
Mg 0.0000 3.5386 8.5217
Mg 3.1339 3.6188 8.7022

---

Unit: meV/atom. Relative energies: P 0; Q 50.